# 1
LaCe3B24: relaxed, PBE-GGA.

calculated density: 4.83 g/cm3
energy of formation from the pure elements: -50.8 kJ per mole of atoms
M_tot: 0.0679 μB per atom
raw total energy: -7.064 eV/atom

a b c (Å): 4.1302 5.8371 11.6818
angles (deg): 90.00 90.00 90.00
With the nearest neighbours (Å) after each atom.
Sites, in units of the cell vectors:
1 La 0.0000 0.0000 0.0000  24 B 3.03-3.04
2 Ce 0.0000 0.5000 0.2508  24 B 3.02-3.04
3 Ce 0.0000 0.0000 0.5000  24 B 3.03
4 Ce 0.0000 0.5000 0.7492  24 B 3.02-3.04
5 B 0.1987 0.5000 0.5000  5 B 1.64-1.76
6 B 0.1988 0.0000 0.7498  5 B 1.64-1.76
7 B 0.1992 0.5000 0.0000  5 B 1.65-1.76
8 B 0.1988 0.0000 0.2502  5 B 1.64-1.76
9 B 0.5000 0.6507 0.5754  5 B 1.64-1.76
10 B 0.5000 0.1511 0.8248  5 B 1.64-1.76
11 B 0.5000 0.6498 0.0756  5 B 1.64-1.77
12 B 0.5000 0.1508 0.3253  5 B 1.64-1.76
13 B 0.5000 0.3493 0.5754  5 B 1.64-1.76
14 B 0.5000 0.8489 0.8248  5 B 1.64-1.76
15 B 0.5000 0.3502 0.0756  5 B 1.64-1.77
16 B 0.5000 0.8492 0.3253  5 B 1.64-1.76
17 B 0.5000 0.3493 0.4246  5 B 1.64-1.76
18 B 0.5000 0.8492 0.6747  5 B 1.64-1.76
19 B 0.5000 0.3502 0.9244  5 B 1.64-1.77
20 B 0.5000 0.8489 0.1752  5 B 1.64-1.76
21 B 0.5000 0.6507 0.4246  5 B 1.64-1.76
22 B 0.5000 0.1508 0.6747  5 B 1.64-1.76
23 B 0.5000 0.6498 0.9244  5 B 1.64-1.77
24 B 0.5000 0.1511 0.1752  5 B 1.64-1.76
25 B 0.8013 0.5000 0.5000  5 B 1.64-1.76
26 B 0.8012 0.0000 0.7498  5 B 1.64-1.76
27 B 0.8008 0.5000 0.0000  5 B 1.65-1.76
28 B 0.8012 0.0000 0.2502  5 B 1.64-1.76

# 2
TiRh3: relaxed, PBE-GGA.

calculated density: 10.28 g/cm3
energy of formation from the pure elements: -59.6 kJ per mole of atoms
raw total energy: -8.115 eV/atom

a b c (Å): 3.8617 3.8617 3.8617
angles (deg): 90.00 90.00 90.00
With the nearest neighbours (Å) after each atom.
Sites, in units of the cell vectors:
1 Ti 0.0000 0.0000 0.0000  12 Rh 2.73
2 Rh 0.5000 0.5000 0.0000  8 Rh 2.73, 4 Ti 2.73
3 Rh 0.5000 0.0000 0.5000  8 Rh 2.73, 4 Ti 2.73
4 Rh 0.0000 0.5000 0.5000  8 Rh 2.73, 4 Ti 2.73

# 3
Eu2Ni7P4: relaxed, PBE-GGA.

calculated density: 7.67 g/cm3
energy of formation from the pure elements: -73.6 kJ per mole of atoms
M_tot: 1.0692 μB per atom
raw total energy: -7.119 eV/atom

a b c (Å): 3.7445 9.2631 10.4693
angles (deg): 90.00 90.00 90.00
With the nearest neighbours (Å) after each atom.
Sites, in units of the cell vectors:
1 Eu 0.0000 0.4397 0.5189  6 P 2.87-2.94, 10 Ni 3.01-3.17
2 Eu 0.5000 0.5603 0.0189  6 P 2.87-2.94, 10 Ni 3.01-3.17
3 Eu 0.0000 0.0629 0.7367  5 P 2.97-3.06, 11 Ni 3.01-3.31
4 Eu 0.5000 0.9371 0.2367  5 P 2.97-3.06, 11 Ni 3.01-3.31
5 Ni 0.0000 0.7707 0.4078  4 P 2.27-2.38, 1 Ni 2.44
6 Ni 0.5000 0.2293 0.9078  4 P 2.27-2.38, 1 Ni 2.44
7 Ni 0.0000 0.7528 0.6404  3 P 2.16-2.33
8 Ni 0.5000 0.2472 0.1404  3 P 2.16-2.33
9 Ni 0.0000 0.8184 0.9981  4 P 2.32-2.48, 1 Ni 2.51
10 Ni 0.5000 0.1816 0.4981  4 P 2.32-2.48, 1 Ni 2.51
11 Ni 0.0000 0.4405 0.2174  4 P 2.29-2.38, 1 Ni 2.49
12 Ni 0.5000 0.5595 0.7174  4 P 2.29-2.38, 1 Ni 2.49
13 Ni 0.0000 0.4025 0.8192  4 P 2.29-2.38
14 Ni 0.5000 0.5975 0.3192  4 P 2.29-2.38
15 Ni 0.0000 0.1940 0.3113  3 P 2.20-2.34
16 Ni 0.5000 0.8060 0.8113  3 P 2.20-2.34
17 Ni 0.0000 0.0844 0.0424  3 P 2.18-2.30
18 Ni 0.5000 0.9156 0.5424  3 P 2.18-2.30
19 P 0.0000 0.6872 0.2043  5 Ni 2.27-2.48
20 P 0.5000 0.3128 0.7043  5 Ni 2.27-2.48
21 P 0.0000 0.0215 0.4551  6 Ni 2.20-2.43
22 P 0.5000 0.9785 0.9551  6 Ni 2.20-2.43
23 P 0.0000 0.3188 0.0245  7 Ni 2.18-2.38
24 P 0.5000 0.6812 0.5245  7 Ni 2.18-2.38
25 P 0.0000 0.6566 0.8287  7 Ni 2.16-2.38
26 P 0.5000 0.3434 0.3287  7 Ni 2.16-2.38

# 4
Li2MgZrO4: relaxed, PBE-GGA.

calculated density: 3.91 g/cm3
energy of formation from the pure elements: -292.1 kJ per mole of atoms
M_tot: 0.0000 μB per atom
raw total energy: -6.904 eV/atom

a b c (Å): 5.4339 5.4339 5.4339
angles (deg): 133.82 133.82 67.37
With the nearest neighbours (Å) after each atom.
Sites, in units of the cell vectors:
1 Li 0.5000 0.5000 0.0000  4 O 2.13
2 Li 0.7500 0.2500 0.5000  6 O 2.14-2.38
3 Mg 0.2500 0.7500 0.5000  6 O 2.14
4 Zr 0.0000 0.0000 0.0000  6 O 2.10-2.13
5 O 0.7677 0.7677 0.0000  1 Zr 2.10, 2 Li 2.14, 2 Mg 2.14
6 O 0.0131 0.5131 0.5000  3 Li 2.13-2.38, 2 Zr 2.13, 1 Mg 2.14
7 O 0.4869 0.9869 0.5000  2 Zr 2.13, 3 Li 2.13-2.38, 1 Mg 2.14
8 O 0.2323 0.2323 0.0000  1 Zr 2.10, 2 Li 2.14, 2 Mg 2.14

# 5
Mg5CuN4: relaxed, PBE-GGA.

calculated density: 3.24 g/cm3
energy of formation from the pure elements: -49.6 kJ per mole of atoms
M_tot: 0.0795 μB per atom
raw total energy: -4.915 eV/atom

a b c (Å): 7.1994 6.5509 5.2456
angles (deg): 90.00 90.00 90.00
With the nearest neighbours (Å) after each atom.
Sites, in units of the cell vectors:
1 Mg 0.5505 0.5055 0.2513  3 N 2.10-2.13
2 Mg 0.9495 0.5055 0.2513  3 N 2.10-2.13
3 Mg 0.5505 0.9945 0.2513  3 N 2.10-2.13
4 Mg 0.9495 0.9945 0.2513  3 N 2.10-2.13
5 Mg 0.4495 0.4945 0.7487  3 N 2.10-2.13
6 Mg 0.0505 0.4945 0.7487  3 N 2.10-2.13
7 Mg 0.4495 0.0055 0.7487  3 N 2.10-2.13
8 Mg 0.0505 0.0055 0.7487  3 N 2.10-2.13
9 Mg 0.7500 0.7500 0.7160  4 N 2.08
10 Mg 0.2500 0.2500 0.2840  4 N 2.08
11 Cu 0.7500 0.2500 0.7217  4 N 2.05-2.19
12 Cu 0.2500 0.7500 0.2783  4 N 2.05-2.19
13 N 0.7500 0.0015 0.9592  1 Cu 2.05, 3 Mg 2.08-2.10
14 N 0.7500 0.4985 0.9592  1 Cu 2.05, 3 Mg 2.08-2.10
15 N 0.2500 0.9985 0.0408  1 Cu 2.05, 3 Mg 2.08-2.10
16 N 0.2500 0.5015 0.0408  1 Cu 2.05, 3 Mg 2.08-2.10
17 N 0.5038 0.7500 0.5083  5 Mg 2.08-2.13, 1 Cu 2.19
18 N 0.9962 0.7500 0.5083  5 Mg 2.08-2.13, 1 Cu 2.19
19 N 0.4962 0.2500 0.4917  5 Mg 2.08-2.13, 1 Cu 2.19
20 N 0.0038 0.2500 0.4917  5 Mg 2.08-2.13, 1 Cu 2.19

# 6
LiBi3Br2O4: relaxed, PBE-GGA.

calculated density: 7.15 g/cm3
energy above the lowest structure with this stoichiometry: 0.0000 eV/atom
energy of formation from the pure elements: -156.1 kJ per mole of atoms
M_tot: 0.0000 μB per atom
raw total energy: -5.008 eV/atom

a b c (Å): 7.0461 7.0461 11.0773
angles (deg): 90.00 90.00 133.56
With the nearest neighbours (Å) after each atom.
Sites, in units of the cell vectors:
1 Li 0.2132 0.7868 0.7500  4 O 2.07
2 Li 0.7868 0.2132 0.2500  4 O 2.07
3 Bi 0.8482 0.1518 0.7500  4 O 2.29
4 Bi 0.3386 0.6614 0.0057  4 O 2.26-2.27
5 Bi 0.6614 0.3386 0.9943  4 O 2.26-2.27
6 Bi 0.1518 0.8482 0.2500  4 O 2.29
7 Bi 0.3386 0.6614 0.4943  4 O 2.26-2.27
8 Bi 0.6614 0.3386 0.5057  4 O 2.26-2.27
9 Br 0.4905 0.5095 0.7500  6 Bi 3.33-3.50, 1 Li 3.59, 4 O 3.62
10 Br 0.0000 0.0000 0.0000  6 Bi 3.40-3.48, 4 O 3.69
11 Br 0.5095 0.4905 0.2500  6 Bi 3.33-3.50, 1 Li 3.59, 4 O 3.62
12 Br 0.0000 0.0000 0.5000  6 Bi 3.40-3.48, 4 O 3.69
13 O 0.0035 0.4893 0.8765  1 Li 2.07, 3 Bi 2.26-2.29
14 O 0.5107 0.9965 0.8765  1 Li 2.07, 3 Bi 2.26-2.29
15 O 0.9965 0.5107 0.1235  1 Li 2.07, 3 Bi 2.26-2.29
16 O 0.4893 0.0035 0.1235  1 Li 2.07, 3 Bi 2.26-2.29
17 O 0.9965 0.5107 0.3765  1 Li 2.07, 3 Bi 2.26-2.29
18 O 0.0035 0.4893 0.6235  1 Li 2.07, 3 Bi 2.26-2.29
19 O 0.4893 0.0035 0.3765  1 Li 2.07, 3 Bi 2.26-2.29
20 O 0.5107 0.9965 0.6235  1 Li 2.07, 3 Bi 2.26-2.29